{"formula": "LiCuPO4", "functional": "PBE", "state": "optimized geometry", "energy_corrected_mp2020_ev_per_atom": -6.58, "sg": "P6_422", "density_g_cm3": 2.918, "lattice_angstrom": [[7.679, 6.324, 4.233], [-10.040, 3.802, -1.272], [-2.662, -3.611, 10.223]], "species": ["Li", "Li", "Li", "Li", "Li", "Li", "Li", "Li", "Li", "Li", "Li", "Li", "Cu", "Cu", "Cu", "Cu", "Cu", "Cu", "Cu", "Cu", "Cu", "Cu", "Cu", "Cu", "P", "P", "P", "P", "P", "P", "P", "P", "P", "P", "P", "P", "O", "O", "O", "O", "O", "O", "O", "O", "O", "O", "O", "O", "O", "O", "O", "O", "O", "O", "O", "O", "O", "O", "O", "O", "O", "O", "O", "O", "O", "O", "O", "O", "O", "O", "O", "O", "O", "O", "O", "O", "O", "O", "O", "O", "O", "O", "O", "O"], "fractional_positions": [[0.000, 0.500, 0.014], [0.000, 0.500, 0.652], [0.000, 0.500, 0.333], [0.000, 0.000, 0.167], [0.000, 0.000, 0.500], [0.000, 0.000, 0.833], [0.500, 0.500, 0.348], [0.500, 0.500, 0.667], [0.500, 0.500, 0.986], [0.500, 0.000, 0.319], [0.500, 0.000, 0.000], [0.500, 0.000, 0.681], [0.000, 0.765, 0.333], [0.247, 0.753, 0.667], [0.000, 0.235, 0.333], [0.247, 0.493, 0.000], [0.235, 0.235, 0.667], [0.507, 0.753, 0.333], [0.235, 0.000, 0.000], [0.493, 0.247, 0.333], [0.765, 0.765, 0.667], [0.753, 0.507, 0.000], [0.753, 0.247, 0.667], [0.765, 0.000, 0.000], [0.000, 0.741, 0.833], [0.000, 0.259, 0.833], [0.250, 0.750, 0.167], [0.250, 0.500, 0.500], [0.500, 0.750, 0.833], [0.259, 0.259, 0.167], [0.259, 0.000, 0.500], [0.741, 0.741, 0.167], [0.500, 0.250, 0.833], [0.750, 0.500, 0.500], [0.750, 0.250, 0.167], [0.741, 0.000, 0.500], [0.105, 0.882, 0.463], [0.118, 0.895, 0.870], [0.050, 0.682, 0.730], [0.122, 0.705, 0.251], [0.295, 0.878, 0.082], [0.318, 0.950, 0.604], [0.198, 0.587, 0.575], [0.050, 0.368, 0.937], [0.198, 0.611, 0.092], [0.122, 0.416, 0.416], [0.105, 0.224, 0.203], [0.413, 0.802, 0.759], [0.389, 0.802, 0.241], [0.118, 0.224, 0.797], [0.295, 0.416, 0.584], [0.413, 0.611, 0.908], [0.318, 0.368, 0.063], [0.389, 0.587, 0.425], [0.224, 0.118, 0.537], [0.224, 0.105, 0.130], [0.632, 0.950, 0.396], [0.584, 0.878, 0.918], [0.584, 0.705, 0.749], [0.368, 0.318, 0.270], [0.632, 0.682, 0.270], [0.416, 0.295, 0.749], [0.416, 0.122, 0.918], [0.368, 0.050, 0.396], [0.776, 0.895, 0.130], [0.776, 0.882, 0.537], [0.611, 0.413, 0.425], [0.682, 0.632, 0.063], [0.587, 0.389, 0.908], [0.705, 0.584, 0.584], [0.882, 0.776, 0.797], [0.611, 0.198, 0.241], [0.587, 0.198, 0.759], [0.895, 0.776, 0.203], [0.878, 0.584, 0.416], [0.802, 0.389, 0.092], [0.950, 0.632, 0.937], [0.802, 0.413, 0.575], [0.682, 0.050, 0.604], [0.705, 0.122, 0.082], [0.878, 0.295, 0.251], [0.950, 0.318, 0.730], [0.882, 0.105, 0.870], [0.895, 0.118, 0.463]]}


{"formula": "ZnHgTe2", "functional": "PBE", "state": "optimized geometry", "energy_corrected_mp2020_ev_per_atom": -2.47, "sg": "R3m", "density_g_cm3": 6.511, "lattice_angstrom": [[-2.621, -1.369, -7.288], [-4.634, -4.414, -4.572], [-6.231, -0.159, -4.797]], "species": ["Zn", "Hg", "Te", "Te"], "fractional_positions": [[0.500, 0.500, 0.500], [0.001, 0.001, 0.001], [0.130, 0.130, 0.130], [0.619, 0.619, 0.619]]}


{"formula": "SmAsSe", "functional": "PBE", "state": "optimized geometry", "energy_corrected_mp2020_ev_per_atom": -5.90, "sg": "Pnma", "density_g_cm3": 7.071, "lattice_angstrom": [[-3.018, -0.712, 2.472], [-2.375, -0.817, -3.134], [4.789, -17.270, 0.872]], "species": ["Sm", "Sm", "Sm", "Sm", "As", "As", "As", "As", "Se", "Se", "Se", "Se"], "fractional_positions": [[0.750, 0.729, 0.639], [0.250, 0.271, 0.361], [0.750, 0.771, 0.139], [0.250, 0.229, 0.861], [0.250, 0.707, 0.998], [0.750, 0.293, 0.002], [0.250, 0.793, 0.498], [0.750, 0.207, 0.502], [0.750, 0.731, 0.813], [0.250, 0.269, 0.187], [0.750, 0.769, 0.313], [0.250, 0.231, 0.687]]}


{"formula": "CeCdNi4", "functional": "PBE", "state": "optimized geometry", "final_energy_ev_per_atom": -5.34, "sg": "F-43m", "density_g_cm3": 9.159, "lattice_angstrom": [[0.000, 3.535, 3.535], [3.535, 0.000, 3.535], [3.535, 3.535, 0.000]], "species": ["Ce", "Cd", "Ni", "Ni", "Ni", "Ni"], "fractional_positions": [[0.250, 0.250, 0.250], [0.000, 0.000, 0.000], [0.626, 0.122, 0.626], [0.626, 0.626, 0.626], [0.122, 0.626, 0.626], [0.626, 0.626, 0.122]]}


{"formula": "DyErC4", "functional": "PBE", "state": "optimized geometry", "final_energy_ev_per_atom": -7.88, "sg": "P4/mmm", "density_g_cm3": 7.664, "lattice_angstrom": [[-3.638, 0.000, 0.000], [0.000, 3.638, 0.000], [0.000, 0.000, -6.186]], "species": ["Dy", "Er", "C", "C", "C", "C"], "fractional_positions": [[0.000, 0.000, 0.000], [0.500, 0.500, 0.500], [0.000, 0.000, 0.395], [0.500, 0.500, 0.894], [0.500, 0.500, 0.106], [0.000, 0.000, 0.605]]}


{"formula": "HoCuSe2", "functional": "PBE", "state": "optimized geometry", "energy_corrected_mp2020_ev_per_atom": -5.36, "sg": "P3m1", "density_g_cm3": 6.937, "lattice_angstrom": [[2.040, -3.533, 0.000], [2.040, 3.533, 0.000], [0.000, 0.000, 6.415]], "species": ["Ho", "Cu", "Se", "Se"], "fractional_positions": [[0.667, 0.333, 0.988], [0.000, 0.000, 0.372], [0.000, 0.000, 0.752], [0.333, 0.667, 0.259]]}


{"formula": "YLuTh2B16Rh16", "functional": "PBE", "state": "optimized geometry", "final_energy_ev_per_atom": -7.53, "sg": "Pmm2", "density_g_cm3": 9.789, "lattice_angstrom": [[5.358, 0.000, 0.000], [0.000, 5.360, 0.000], [0.000, 0.000, 15.049]], "species": ["Y", "Lu", "Th", "Th", "B", "B", "B", "B", "B", "B", "B", "B", "B", "B", "B", "B", "B", "B", "B", "B", "Rh", "Rh", "Rh", "Rh", "Rh", "Rh", "Rh", "Rh", "Rh", "Rh", "Rh", "Rh", "Rh", "Rh", "Rh", "Rh"], "fractional_positions": [[0.000, 0.500, 0.875], [0.500, 0.000, 0.125], [0.500, 0.000, 0.625], [0.000, 0.500, 0.375], [0.331, 0.500, 0.198], [0.333, 0.500, 0.702], [0.669, 0.500, 0.198], [0.667, 0.500, 0.702], [0.500, 0.335, 0.450], [0.500, 0.331, 0.951], [0.500, 0.665, 0.450], [0.500, 0.669, 0.951], [0.167, 0.000, 0.298], [0.169, 0.000, 0.801], [0.833, 0.000, 0.298], [0.831, 0.000, 0.801], [0.000, 0.169, 0.049], [0.000, 0.166, 0.550], [0.000, 0.831, 0.049], [0.000, 0.834, 0.550], [0.751, 0.500, 0.053], [0.751, 0.500, 0.553], [0.249, 0.500, 0.053], [0.249, 0.500, 0.553], [0.500, 0.752, 0.299], [0.500, 0.751, 0.804], [0.500, 0.248, 0.299], [0.500, 0.249, 0.804], [0.749, 0.000, 0.446], [0.747, 0.000, 0.949], [0.251, 0.000, 0.446], [0.253, 0.000, 0.949], [0.000, 0.750, 0.195], [0.000, 0.749, 0.699], [0.000, 0.250, 0.195], [0.000, 0.251, 0.699]]}


{"formula": "PuTe2O6", "functional": "PBE", "state": "optimized geometry", "energy_corrected_mp2020_ev_per_atom": -7.74, "sg": "P2_1/c", "density_g_cm3": 7.039, "lattice_angstrom": [[-9.812, 3.705, -4.225], [-0.469, -5.778, -3.977], [-3.796, -7.202, 2.502]], "species": ["Pu", "Pu", "Pu", "Pu", "Te", "Te", "Te", "Te", "Te", "Te", "Te", "Te", "O", "O", "O", "O", "O", "O", "O", "O", "O", "O", "O", "O", "O", "O", "O", "O", "O", "O", "O", "O", "O", "O", "O", "O"], "fractional_positions": [[0.410, 0.267, 0.492], [0.910, 0.733, 0.008], [0.590, 0.733, 0.508], [0.090, 0.267, 0.992], [0.582, 0.735, 0.039], [0.082, 0.265, 0.461], [0.418, 0.265, 0.961], [0.918, 0.735, 0.539], [0.224, 0.809, 0.929], [0.724, 0.191, 0.571], [0.776, 0.191, 0.071], [0.276, 0.809, 0.429], [0.725, 0.561, 0.123], [0.225, 0.439, 0.377], [0.275, 0.439, 0.877], [0.775, 0.561, 0.623], [0.599, 0.866, 0.184], [0.099, 0.134, 0.316], [0.401, 0.134, 0.816], [0.901, 0.866, 0.684], [0.480, 0.474, 0.204], [0.980, 0.526, 0.296], [0.520, 0.526, 0.796], [0.020, 0.474, 0.704], [0.259, 0.977, 0.161], [0.759, 0.023, 0.339], [0.741, 0.023, 0.839], [0.241, 0.977, 0.661], [0.403, 0.999, 0.416], [0.903, 0.001, 0.084], [0.597, 0.001, 0.584], [0.097, 0.999, 0.916], [0.405, 0.610, 0.459], [0.905, 0.390, 0.041], [0.595, 0.390, 0.541], [0.095, 0.610, 0.959]]}


{"formula": "GeSe2", "functional": "PBE", "state": "optimized geometry", "energy_corrected_mp2020_ev_per_atom": -4.45, "sg": "P2_1/c", "density_g_cm3": 3.824, "lattice_angstrom": [[17.251, 0.000, 0.000], [0.000, 7.200, 0.000], [0.000, 0.192, 12.897]], "species": ["Ge", "Ge", "Ge", "Ge", "Ge", "Ge", "Ge", "Ge", "Ge", "Ge", "Ge", "Ge", "Ge", "Ge", "Ge", "Ge", "Se", "Se", "Se", "Se", "Se", "Se", "Se", "Se", "Se", "Se", "Se", "Se", "Se", "Se", "Se", "Se", "Se", "Se", "Se", "Se", "Se", "Se", "Se", "Se", "Se", "Se", "Se", "Se", "Se", "Se", "Se", "Se"], "fractional_positions": [[0.154, 0.660, 0.224], [0.654, 0.340, 0.276], [0.846, 0.340, 0.776], [0.346, 0.660, 0.724], [0.150, 0.835, 0.775], [0.650, 0.165, 0.725], [0.850, 0.165, 0.225], [0.350, 0.835, 0.275], [0.000, 0.162, 0.706], [0.500, 0.838, 0.794], [0.000, 0.838, 0.294], [0.500, 0.162, 0.206], [0.310, 0.332, 0.275], [0.810, 0.668, 0.225], [0.690, 0.668, 0.725], [0.190, 0.332, 0.775], [0.179, 0.333, 0.211], [0.679, 0.667, 0.289], [0.821, 0.667, 0.789], [0.321, 0.333, 0.711], [0.038, 0.724, 0.127], [0.538, 0.276, 0.373], [0.962, 0.276, 0.873], [0.462, 0.724, 0.627], [0.115, 0.769, 0.391], [0.615, 0.231, 0.109], [0.885, 0.231, 0.609], [0.385, 0.769, 0.891], [0.255, 0.841, 0.141], [0.755, 0.159, 0.359], [0.745, 0.159, 0.859], [0.245, 0.841, 0.641], [0.330, 0.582, 0.394], [0.830, 0.418, 0.106], [0.670, 0.418, 0.606], [0.170, 0.582, 0.894], [0.338, 0.085, 0.396], [0.838, 0.915, 0.104], [0.662, 0.915, 0.604], [0.162, 0.085, 0.896], [0.393, 0.331, 0.128], [0.893, 0.669, 0.372], [0.607, 0.669, 0.872], [0.107, 0.331, 0.628], [0.476, 0.834, 0.197], [0.976, 0.166, 0.303], [0.524, 0.166, 0.803], [0.024, 0.834, 0.697]]}


{"formula": "Ba2AlAg3O8", "functional": "PBE", "state": "optimized geometry", "energy_corrected_mp2020_ev_per_atom": -5.37, "sg": "P4/mmm", "density_g_cm3": 6.114, "lattice_angstrom": [[4.017, 0.000, 0.000], [0.000, 4.017, 0.000], [0.000, 0.000, 12.680]], "species": ["Ba", "Ba", "Al", "Ag", "Ag", "Ag", "O", "O", "O", "O", "O", "O", "O", "O"], "fractional_positions": [[0.500, 0.500, 0.158], [0.500, 0.500, 0.842], [0.500, 0.500, 0.500], [0.000, 0.000, 0.358], [0.000, 0.000, 0.000], [0.000, 0.000, 0.642], [0.000, 0.500, 0.406], [0.500, 0.000, 0.406], [0.500, 0.000, 0.000], [0.000, 0.000, 0.167], [0.000, 0.500, 0.594], [0.500, 0.000, 0.594], [0.000, 0.000, 0.833], [0.000, 0.500, 0.000]]}


{"formula": "Rb2NaH5C2O8", "functional": "PBE", "state": "optimized geometry", "energy_corrected_mp2020_ev_per_atom": -6.10, "sg": "Pnma", "density_g_cm3": 2.444, "lattice_angstrom": [[8.231, 0.000, 0.000], [0.000, 9.505, 0.000], [0.000, 0.000, 12.193]], "species": ["Rb", "Rb", "Rb", "Rb", "Rb", "Rb", "Rb", "Rb", "Na", "Na", "Na", "Na", "H", "H", "H", "H", "H", "H", "H", "H", "H", "H", "H", "H", "H", "H", "H", "H", "H", "H", "H", "H", "C", "C", "C", "C", "C", "C", "C", "C", "O", "O", "O", "O", "O", "O", "O", "O", "O", "O", "O", "O", "O", "O", "O", "O", "O", "O", "O", "O", "O", "O", "O", "O", "O", "O", "O", "O", "O", "O", "O", "O"], "fractional_positions": [[0.489, 0.778, 0.108], [0.989, 0.222, 0.892], [0.011, 0.278, 0.392], [0.511, 0.722, 0.608], [0.511, 0.222, 0.892], [0.011, 0.778, 0.108], [0.989, 0.722, 0.608], [0.489, 0.278, 0.392], [0.750, 0.939, 0.316], [0.250, 0.061, 0.684], [0.750, 0.439, 0.184], [0.250, 0.561, 0.816], [0.750, 0.496, 0.471], [0.250, 0.504, 0.529], [0.750, 0.996, 0.029], [0.250, 0.004, 0.971], [0.890, 0.617, 0.866], [0.390, 0.383, 0.134], [0.610, 0.117, 0.634], [0.110, 0.883, 0.366], [0.110, 0.383, 0.134], [0.610, 0.617, 0.866], [0.390, 0.883, 0.366], [0.890, 0.117, 0.634], [0.883, 0.483, 0.791], [0.383, 0.517, 0.209], [0.617, 0.983, 0.709], [0.117, 0.017, 0.291], [0.117, 0.517, 0.209], [0.617, 0.483, 0.791], [0.383, 0.017, 0.291], [0.883, 0.983, 0.709], [0.750, 0.650, 0.356], [0.250, 0.350, 0.644], [0.750, 0.150, 0.144], [0.250, 0.850, 0.856], [0.750, 0.360, 0.632], [0.250, 0.640, 0.368], [0.750, 0.860, 0.868], [0.250, 0.140, 0.132], [0.750, 0.740, 0.433], [0.250, 0.260, 0.567], [0.750, 0.240, 0.067], [0.250, 0.760, 0.933], [0.750, 0.679, 0.254], [0.250, 0.321, 0.746], [0.750, 0.179, 0.246], [0.250, 0.821, 0.754], [0.750, 0.510, 0.382], [0.250, 0.490, 0.618], [0.750, 0.010, 0.118], [0.250, 0.990, 0.882], [0.750, 0.483, 0.584], [0.250, 0.517, 0.416], [0.750, 0.983, 0.916], [0.250, 0.017, 0.084], [0.750, 0.246, 0.573], [0.250, 0.754, 0.427], [0.750, 0.746, 0.927], [0.250, 0.254, 0.073], [0.750, 0.355, 0.738], [0.250, 0.645, 0.262], [0.750, 0.855, 0.762], [0.250, 0.145, 0.238], [0.961, 0.546, 0.831], [0.461, 0.454, 0.169], [0.539, 0.046, 0.669], [0.039, 0.954, 0.331], [0.039, 0.454, 0.169], [0.539, 0.546, 0.831], [0.461, 0.954, 0.331], [0.961, 0.046, 0.669]]}


{"formula": "YMg6V", "functional": "PBE", "state": "optimized geometry", "final_energy_ev_per_atom": -2.98, "density_g_cm3": 2.559, "lattice_angstrom": [[-1.935, -4.299, -2.119], [3.206, -3.534, 4.242], [-8.759, 0.481, 7.020]], "species": ["Y", "Y", "Mg", "Mg", "Mg", "Mg", "Mg", "Mg", "Mg", "Mg", "Mg", "Mg", "Mg", "Mg", "V", "V"], "fractional_positions": [[0.500, 0.000, 0.166], [0.500, 0.500, 0.666], [0.500, 0.246, 0.418], [0.500, 0.754, 0.418], [0.000, 0.737, 0.085], [0.000, 0.263, 0.085], [0.000, 0.000, 0.335], [0.000, 0.500, 0.326], [0.500, 0.746, 0.918], [0.500, 0.254, 0.918], [0.000, 0.237, 0.585], [0.000, 0.763, 0.585], [0.000, 0.500, 0.835], [0.000, 0.000, 0.826], [0.500, 0.500, 0.166], [0.500, 0.000, 0.666]]}